Record 1
NaO2 | GGA-PBE | relaxed

abc: 5.1482 6.5009 9.3758
angles: 90.00 90.00 90.00
Closest atoms and distances in Å follow each position.
Space group Pbca (No. 61)
Symmetry-distinct sites (fractional):
Na (0.1553, 0.2366, 0.1224) (multiplicity 8)  6 O 2.36-2.53
O (0.0776, 0.0568, 0.3433) (multiplicity 8)  1 O 1.35
O (0.2226, 0.5389, 0.4362) (multiplicity 8)  1 O 1.35

Values from the calculation:
Energy of formation from the pure elements   -891 meV/atom
Polymorph energy (0 for the lowest one)   0.022 eV/atom
MP2020-corrected energy   -4.631 eV per atom


Record 2
NaO2 | GGA-PBE | relaxed

abc: 4.3287 4.3287 4.5785
angles: 90.00 90.00 90.00
Closest atoms and distances in Å follow each position.
Space group P4_2/mnm (No. 136)
Symmetry-distinct sites (fractional):
Na (0.0000, 0.0000, 0.0000) (multiplicity 2)  6 O 2.38-2.39
O (0.1107, 0.1107, 0.5000) (multiplicity 4)  1 O 1.36

Values from the calculation:
Energy of formation from the pure elements   -848 meV/atom
Polymorph energy (0 for the lowest one)   0.065 eV/atom
MP2020-corrected energy   -4.588 eV per atom
M_tot   2.00 μB/cell


Record 3
NaO2 | GGA-PBE | relaxed

abc: 5.1951 6.5458 9.2183
angles: 90.00 90.00 90.00
Closest atoms and distances in Å follow each position.
Space group Pbca (No. 61)
Symmetry-distinct sites (fractional):
Na (0.1555, 0.1287, 0.1168) (multiplicity 8)  6 O 2.38-2.64
O (0.0670, 0.2009, 0.8396) (multiplicity 8)  1 O 1.37
O (0.1747, 0.1373, 0.4124) (multiplicity 8)  1 O 1.37

Values from the calculation:
Energy of formation from the pure elements   -837 meV/atom
Polymorph energy (0 for the lowest one)   0.077 eV/atom
MP2020-corrected energy   -4.576 eV per atom
M_tot   8.00 μB/cell


Record 4
NaO2 | GGA-PBE | relaxed

abc: 4.4285 4.4285 6.5606
angles: 90.00 90.00 120.00
Closest atoms and distances in Å follow each position.
Space group R-3m (No. 166, hexagonal axes)
Symmetry-distinct sites (fractional):
Na (0.0000, 0.0000, 0.0000) (multiplicity 3)  8 O 2.59-2.60
O (0.0000, 0.0000, 0.3965) (multiplicity 6)  1 O 1.36

Values from the calculation:
Energy of formation from the pure elements   -798 meV/atom
Polymorph energy (0 for the lowest one)   0.115 eV/atom
MP2020-corrected energy   -4.538 eV per atom
M_tot   3.00 μB/cell


Record 5
NaO2 | GGA-PBE | relaxed

abc: 5.5229 5.5229 5.5229
angles: 90.00 90.00 90.00
Closest atoms and distances in Å follow each position.
Space group Pa-3 (No. 205)
Symmetry-distinct sites (fractional):
Na (0.0000, 0.0000, 0.0000) (multiplicity 4)  6 O 2.43
O (0.0708, 0.5708, 0.9292) (multiplicity 8)  1 O 1.35

Values from the calculation:
Energy of formation from the pure elements   -893 meV/atom
Polymorph energy (0 for the lowest one)   0.020 eV/atom
MP2020-corrected energy   -4.633 eV per atom
M_tot   4.00 μB/cell


Record 6
NaO2 | GGA-PBE | relaxed

abc: 4.2296 5.6747 3.4740
angles: 90.00 90.00 90.00
Closest atoms and distances in Å follow each position.
Space group Pnnm (No. 58)
Symmetry-distinct sites (fractional):
Na (0.0000, 0.0000, 0.0000) (multiplicity 2)  6 O 2.42
O (0.1159, 0.4179, 0.0000) (multiplicity 4)  1 O 1.35

Values from the calculation:
Energy of formation from the pure elements   -913 meV/atom
Polymorph energy (0 for the lowest one)   0.000 eV/atom
MP2020-corrected energy   -4.653 eV per atom


Record 7
NaO8 | GGA-PBE | relaxed

abc: 4.6491 18.3867 7.2674
angles: 90.00 90.98 90.00
Closest atoms and distances in Å follow each position.
Space group P2_1/c (No. 14)
Symmetry-distinct sites (fractional):
Na (0.0364, 0.1835, 0.0410) (multiplicity 4)  5 O 2.34-2.52
O (0.0574, 0.0441, 0.3100) (multiplicity 4)  2 O 1.30-1.32
O (0.0615, 0.5657, 0.3466) (multiplicity 4)  1 O 1.32
O (0.1955, 0.0928, 0.4057) (multiplicity 4)  1 O 1.30
O (0.1997, 0.2307, 0.7620) (multiplicity 4)  1 O 1.35
O (0.3677, 0.5906, 0.7174) (multiplicity 4)  1 O 1.23
O (0.4118, 0.0691, 0.8564) (multiplicity 4)  1 O 1.23
O (0.4466, 0.7024, 0.3594) (multiplicity 4)  1 O 1.33
O (0.4820, 0.2470, 0.7630) (multiplicity 4)  2 O 1.33-1.35

Values from the calculation:
Energy of formation from the pure elements   -120 meV/atom
Polymorph energy (0 for the lowest one)   0.000 eV/atom
M_tot   12.00 μB/cell


Record 8
NaO5 | GGA-PBE | relaxed

abc: 14.8055 3.0817 9.6973
angles: 90.00 130.01 90.00
Closest atoms and distances in Å follow each position.
Space group C2/m (No. 12)
Symmetry-distinct sites (fractional):
Na (0.0755, 0.0000, 0.2448) (multiplicity 4)  5 O 2.32-2.45
O (0.0077, 0.5000, 0.6335) (multiplicity 4)  1 O 1.24
O (0.0987, 0.5000, 0.6522) (multiplicity 4)  1 O 1.24
O (0.1133, 0.0000, 0.0330) (multiplicity 4)  2 O 1.63
O (0.1579, 0.5000, 0.0927) (multiplicity 4)  2 O 1.63
O (0.2269, 0.5000, 0.4676) (multiplicity 4)  2 O 1.64

Values from the calculation:
Energy of formation from the pure elements   -102 meV/atom
Polymorph energy (0 for the lowest one)   0.000 eV/atom
MP2020-corrected energy   -4.445 eV per atom
M_tot   4.32 μB/cell